Entry 1:
Computed, not measured: a geometry-optimized Ce9DyO20 structure at the r²SCAN level of DFT.

a b c (Å): 6.651 7.679 8.583
angles (deg): 102.93 97.39 106.81
Fractional positions:
O 0.449 0.524 0.650
O 0.050 0.226 0.849
O 0.649 0.425 0.049
O 0.850 0.325 0.451
O 0.149 0.174 0.550
O 0.150 0.675 0.549
O 0.748 0.874 0.749
O 0.251 0.625 0.250
O 0.648 0.924 0.051
O 0.252 0.126 0.251
O 0.851 0.826 0.450
O 0.351 0.575 0.951
O 0.950 0.277 0.151
O 0.050 0.723 0.849
O 0.551 0.975 0.350
O 0.449 0.025 0.650
O 0.950 0.774 0.151
O 0.352 0.076 0.949
O 0.749 0.375 0.750
O 0.551 0.476 0.350
Dy 0.000 0.000 0.000
Ce 0.398 0.299 0.801
Ce 0.600 0.199 0.199
Ce 0.199 0.399 0.398
Ce 0.800 0.100 0.602
Ce 0.602 0.701 0.199
Ce 0.000 0.500 0.000
Ce 0.200 0.900 0.398
Ce 0.801 0.601 0.602
Ce 0.400 0.801 0.801

* total magnetization: 0.7 μB/cell
* ρ: 7.24 Mg/m³
* space-group type: P-1
* E_form: -3672 meV/atom

=====

Entry 2:
Computed, not measured: a geometry-optimized CeDyS3 structure at the r²SCAN level of DFT.

a b c (Å): 4.018 7.435 15.320
angles (deg): 90.00 90.00 90.00
Fractional positions:
S 0.250 0.151 0.217
S 0.750 0.849 0.783
S 0.250 0.651 0.283
S 0.750 0.127 0.938
S 0.250 0.014 0.605
S 0.750 0.349 0.717
S 0.750 0.627 0.562
S 0.750 0.486 0.105
S 0.250 0.873 0.062
S 0.250 0.514 0.895
S 0.750 0.986 0.395
S 0.250 0.373 0.438
Dy 0.250 0.268 0.043
Dy 0.250 0.768 0.457
Dy 0.750 0.732 0.957
Dy 0.750 0.232 0.543
Ce 0.750 0.360 0.297
Ce 0.750 0.860 0.203
Ce 0.250 0.640 0.703
Ce 0.250 0.140 0.797

* total magnetization: 4.0 μB/cell
* ρ: 5.79 Mg/m³
* space-group type: Pnma
* E_form: -2404 meV/atom

=====

Q: ρ of number 2 (CeDyS3)?
A: 5.79 Mg/m³